The following is a PBE-GGA calculation of a geometry-optimized Na2Ho2B2TeO10 structure, from Materials Project.

Summary:
ΔH_f (0 K)	-48.6	eV/f.u.

```
data_Na2Ho2B2TeO10
_chemical_formula_sum 'Na4 Ho4 B4 Te2 O20'
_cell_length_a 6.3494
_cell_length_b 10.0117
_cell_length_c 6.7781
_cell_angle_alpha 90.00
_cell_angle_beta 104.07
_cell_angle_gamma 90.00
_space_group_name_H-M_alt 'P 1 21/c 1'
_space_group_IT_number 14
_space_group_name_Hall '-P 2ybc'
loop_
_atom_site_label
_atom_site_fract_x
_atom_site_fract_y
_atom_site_fract_z
Na1 0.0847 0.1111 0.1664
Ho1 0.3725 0.6660 0.9769
B1 0.1640 0.0999 0.6273
Te1 0.5000 0.0000 0.0000
O1 0.0187 0.6726 0.9440
O2 0.2089 0.0617 0.8360
O3 0.3016 0.0614 0.5089
O4 0.3383 0.6163 0.6364
O5 0.4959 0.1512 0.1777
```